Record 1
KMnCl3O2 | GGA+U | optimized geometry

Summary:
Its energy of formation is -0.982 eV/atom. The calculation puts the offset from the most stable computed form at 0.0 meV per atom. The energy with MP2020 corrections is -65.17 eV/cell. For the size of the total moment, the calculation gives 1.0 μB per formula unit.

Geometry as CIF:
```
data_KMnCl3O2
_chemical_formula_sum 'K2 Mn2 Cl6 O4'
_space_group_name_H-M_alt 'P -1'
_space_group_IT_number 2
_cell_length_a 6.7969
_cell_length_b 6.8836
_cell_length_c 9.5537
_cell_angle_alpha 75.70
_cell_angle_beta 76.61
_cell_angle_gamma 67.41
loop_
_space_group_symop_operation_xyz
'x,y,z'
'-x,-y,-z'
loop_
_atom_site_label
_atom_site_fract_x
_atom_site_fract_y
_atom_site_fract_z
K1 0.0545 0.3236 0.2928
Mn1 0.4019 0.7405 0.1979
Cl1 0.0538 0.7887 0.3458
Cl2 0.2592 0.3219 0.9342
Cl3 0.4885 0.5859 0.6786
O1 0.2899 0.7788 0.0586
O2 0.4111 0.9356 0.2592
```


Record 2
Sr3Fe2O6 | GGA+U | optimized geometry

Summary:
Its energy of formation is -2.516 eV/atom. The energy with MP2020 corrections is -158.74 eV/cell.

Geometry as CIF:
```
data_Sr3Fe2O6
_chemical_formula_sum 'Sr6 Fe4 O12'
_space_group_name_H-M_alt 'I 4/m m m'
_space_group_IT_number 139
_space_group_name_Hall '-I 4 2'
_cell_length_a 3.9584
_cell_length_b 3.9584
_cell_length_c 20.1757
_cell_angle_alpha 90.00
_cell_angle_beta 90.00
_cell_angle_gamma 90.00
loop_
_atom_site_label
_atom_site_fract_x
_atom_site_fract_y
_atom_site_fract_z
Sr1 0.0000 0.0000 0.0000
Sr2 0.0000 0.0000 0.1804
Fe1 0.0000 0.0000 0.3973
O1 0.0000 0.0000 0.3029
O2 0.0000 0.5000 0.0845
```


Record 3
Li3Mn4B4O12 | GGA+U | optimized geometry

Summary:
Its energy of formation is -2.469 eV/atom. The calculation puts the offset from the most stable computed form at 3.9 meV per atom. The energy with MP2020 corrections is -370.50 eV/cell. For the size of the total moment, the calculation gives 19.0 μB per formula unit.

Geometry as CIF:
```
data_Li3Mn4B4O12
_chemical_formula_sum 'Li6 Mn8 B8 O24'
_space_group_name_H-M_alt 'P -1'
_space_group_IT_number 2
_cell_length_a 6.1930
_cell_length_b 7.8563
_cell_length_c 10.5541
_cell_angle_alpha 87.45
_cell_angle_beta 87.92
_cell_angle_gamma 79.36
loop_
_space_group_symop_operation_xyz
'x,y,z'
'-x,-y,-z'
loop_
_atom_site_label
_atom_site_fract_x
_atom_site_fract_y
_atom_site_fract_z
Li1 0.1240 0.1905 0.4618
Li2 0.1408 0.2012 0.9581
Li3 0.3698 0.3112 0.2833
Mn1 0.0625 0.6895 0.2910
Mn2 0.0917 0.6629 0.7920
Mn3 0.4182 0.8181 0.9688
Mn4 0.4270 0.8224 0.4513
B1 0.2207 0.4976 0.5324
B2 0.2319 0.5108 0.0442
B3 0.2428 0.0018 0.2099
B4 0.2628 0.9874 0.7119
O1 0.1504 0.4687 0.6580
O2 0.1508 0.1164 0.7865
O3 0.1525 0.6735 0.9863
O4 0.1583 0.1393 0.2845
O5 0.1626 0.6665 0.4800
O6 0.1913 0.4895 0.1748
O7 0.2909 0.8334 0.2683
O8 0.2982 0.0258 0.0831
O9 0.3023 0.0201 0.5827
O10 0.3304 0.3762 0.9734
O11 0.3329 0.3655 0.4627
O12 0.3431 0.8243 0.7678
```


Record 4
SrTiFe4Bi4O15 | GGA+U | optimized geometry

Summary:
Its energy of formation is -1.985 eV/atom. The energy with MP2020 corrections is -365.75 eV/cell. For the size of the total moment, the calculation gives 20.0 μB per formula unit.

Geometry as CIF:
```
data_SrTiFe4Bi4O15
_chemical_formula_sum 'Sr2 Ti2 Fe8 Bi8 O30'
_space_group_name_H-M_alt 'C 1 m 1'
_space_group_IT_number 8
_cell_length_a 5.7620
_cell_length_b 28.2996
_cell_length_c 4.0714
_cell_angle_alpha 90.00
_cell_angle_beta 91.62
_cell_angle_gamma 90.00
loop_
_space_group_symop_operation_xyz
'x,y,z'
'x,-y,z'
'x+1/2,y+1/2,z'
'x+1/2,-y+1/2,z'
loop_
_atom_site_label
_atom_site_fract_x
_atom_site_fract_y
_atom_site_fract_z
Sr1 0.0000 0.0000 0.0000
Ti1 0.4724 0.0000 0.4966
Fe1 0.0017 0.0978 0.5194
Fe2 0.4952 0.1999 0.5161
Bi1 0.0648 0.4002 0.9355
Bi2 0.0666 0.1993 0.9441
O1 0.2073 0.1527 0.5642
O2 0.2075 0.3540 0.5576
O3 0.2124 0.2474 0.5686
O4 0.2190 0.4503 0.5714
O5 0.2303 0.0476 0.5471
O6 0.4463 0.4014 0.0387
O7 0.4470 0.1987 0.0376
O8 0.4890 0.0000 0.0523
```


Record 5
FeH2SO5 | GGA+U | optimized geometry

Summary:
Its energy of formation is -1.683 eV/atom. The energy with MP2020 corrections is -474.24 eV/cell. For the size of the total moment, the calculation gives 0.0 μB per formula unit.

Geometry as CIF:
```
data_FeH2SO5
_chemical_formula_sum 'Fe8 H16 S8 O40'
_space_group_name_H-M_alt 'C 1 2 1'
_space_group_IT_number 5
_cell_length_a 14.0521
_cell_length_b 7.8324
_cell_length_c 6.9730
_cell_angle_alpha 90.00
_cell_angle_beta 91.13
_cell_angle_gamma 90.00
loop_
_space_group_symop_operation_xyz
'x,y,z'
'-x,y,-z'
'x+1/2,y+1/2,z'
'-x+1/2,y+1/2,-z'
loop_
_atom_site_label
_atom_site_fract_x
_atom_site_fract_y
_atom_site_fract_z
Fe1 0.1248 0.0000 0.3748
Fe2 0.1252 0.4987 0.8751
H1 0.0203 0.2853 0.1100
H2 0.0208 0.7856 0.6094
H3 0.2293 0.7121 0.6398
H4 0.2296 0.2132 0.1412
S1 0.0000 0.3394 0.5000
S2 0.0000 0.8371 0.0000
S3 0.2498 0.1599 0.7502
O1 0.0000 0.3589 0.0000
O2 0.0000 0.8595 0.5000
O3 0.0445 0.2267 0.3513
O4 0.0447 0.7246 0.8513
O5 0.0734 0.9445 0.0943
O6 0.0737 0.4467 0.5935
O7 0.1759 0.0538 0.6557
O8 0.1772 0.5513 0.1563
O9 0.2051 0.7724 0.3978
O10 0.2055 0.2726 0.8991
O11 0.2499 0.1388 0.2503
```


Record 6
Li4Co3O7 | GGA+U | optimized geometry

Summary:
Its energy of formation is -1.657 eV/atom. The calculation puts the offset from the most stable computed form at 53.7 meV per atom. The energy with MP2020 corrections is -173.59 eV/cell. For the size of the total moment, the calculation gives 1.0 μB per formula unit.

Geometry as CIF:
```
data_Li4Co3O7
_chemical_formula_sum 'Li8 Co6 O14'
_space_group_name_H-M_alt 'P -1'
_space_group_IT_number 2
_cell_length_a 3.0097
_cell_length_b 9.7584
_cell_length_c 9.7834
_cell_angle_alpha 117.08
_cell_angle_beta 91.28
_cell_angle_gamma 97.67
loop_
_space_group_symop_operation_xyz
'x,y,z'
'-x,-y,-z'
loop_
_atom_site_label
_atom_site_fract_x
_atom_site_fract_y
_atom_site_fract_z
Li1 0.0000 0.0000 0.0000
Li2 0.0699 0.1397 0.7823
Li3 0.2175 0.4258 0.3562
Li4 0.3599 0.7198 0.9291
Li5 0.5000 0.0000 0.5000
Co1 0.1369 0.2827 0.5670
Co2 0.2879 0.5724 0.1436
Co3 0.4319 0.8611 0.7255
O1 0.0018 0.0850 0.3944
O2 0.1363 0.2077 0.1866
O3 0.1884 0.3667 0.9674
O4 0.2386 0.4863 0.7440
O5 0.3409 0.6618 0.5459
O6 0.3893 0.7754 0.3199
O7 0.4735 0.9491 0.1276
```